# 1
Here is crystalline MgAgSb at its relaxed geometry from Materials Project. Energies are from PBE-GGA.

Summary:
DFT formation energy, kJ per mole of atoms: -27
Energy above the lowest structure with this stoichiometry, meV/atom: 10.5
Total magnetic moment, μB/atom: 0.00

Lattice parameters (Å, degrees): 9.258 9.258 12.961 90.00 90.00 90.00
Space group I-4c2 (No. 120)
Asymmetric unit:
Mg (0.028, 0.216, 0.356)
Ag (0.000, 0.500, 0.000)
Ag (0.000, 0.500, 0.250)
Ag (0.220, 0.280, 0.000)
Sb (0.028, 0.234, 0.632)

***

# 2
Here is crystalline MgAgSb at its relaxed geometry from Materials Project. Energies are from PBE-GGA.

Summary:
DFT formation energy, kJ per mole of atoms: -26
Energy above the lowest structure with this stoichiometry, meV/atom: 20.5
Total magnetic moment, μB/atom: 0.00

Lattice parameters (Å, degrees): 4.457 4.457 6.874 90.00 90.00 90.00
Space group P4/nmm (No. 129, origin choice 2)
Asymmetric unit:
Mg (0.250, 0.250, 0.200)
Ag (0.250, 0.750, 0.500)
Sb (0.250, 0.250, 0.780)

***

# 3
Here is crystalline MgAgSb at its relaxed geometry from Materials Project. Energies are from PBE-GGA.

Summary:
DFT formation energy, kJ per mole of atoms: -28
Energy above the lowest structure with this stoichiometry, meV/atom: 0.0

Lattice parameters (Å, degrees): 6.569 6.569 6.569 90.00 90.00 90.00
Space group F-43m (No. 216)
Asymmetric unit:
Mg (0.000, 0.000, 0.000)
Ag (0.250, 0.250, 0.750)
Sb (0.000, 0.000, 0.500)

***

# 4
Here is crystalline SmMg2Ag at its relaxed geometry from Materials Project. Energies are from PBE-GGA.

Summary:
DFT formation energy, kJ per mole of atoms: -10
Total magnetic moment, μB/atom: 0.00

Lattice parameters (Å, degrees): 7.139 7.139 7.139 90.00 90.00 90.00
Space group Fm-3m (No. 225)
Asymmetric unit:
Sm (0.000, 0.000, 0.000)
Mg (0.250, 0.250, 0.250)
Ag (0.000, 0.000, 0.500)

***

# 5
Here is crystalline Tb2Mg5Ag at its relaxed geometry from Materials Project. Energies are from PBE-GGA.

Summary:
DFT formation energy, kJ per mole of atoms: -8
Total magnetic moment, μB/atom: 0.00

Lattice parameters (Å, degrees): 5.0933 5.0933 24.8363 90.00 90.00 120.00
Space group R-3m (No. 166, hexagonal axes)
Asymmetric unit:
Tb (0.0000, 0.0000, 0.2481)
Mg (0.0000, 0.0000, 0.1223)
Mg (0.0000, 0.0000, 0.3725)
Mg (0.0000, 0.0000, 0.5000)
Ag (0.0000, 0.0000, 0.0000)

***

# 6
Here is crystalline YMgAg at its relaxed geometry from Materials Project. Energies are from PBE-GGA.

Summary:
DFT formation energy, kJ per mole of atoms: -28

Lattice parameters (Å, degrees): 7.7673 7.7673 4.1036 90.00 90.00 120.00
Space group P-62m (No. 189)
Asymmetric unit:
Y (0.0000, 0.5884, 0.0000)
Mg (0.0000, 0.2479, 0.5000)
Ag (0.0000, 0.0000, 0.0000)
Ag (0.3333, 0.6667, 0.5000)

***

# 7
Here is crystalline Mn3AgN at its relaxed geometry from Materials Project. Energies are from PBE-GGA.

Summary:
DFT formation energy, kJ per mole of atoms: -14
Total magnetic moment, μB/atom: 1.99

Lattice parameters (Å, degrees): 4.004 4.004 4.004 90.00 90.00 90.00
Space group Pm-3m (No. 221)
Asymmetric unit:
Mn (0.000, 0.000, 0.500)
Ag (0.500, 0.500, 0.500)
N (0.000, 0.000, 0.000)

***

# 8
Here is crystalline MnAg4Sb2S6 at its relaxed geometry from Materials Project. Energies are from PBE-GGA.

Summary:
DFT formation energy, kJ per mole of atoms: -42
Total magnetic moment, μB/atom: 0.38

Lattice parameters (Å, degrees): 6.733 8.011 12.469 90.00 121.08 90.00
Space group P2_1/c (No. 14)
Asymmetric unit:
Mn (0.000, 0.000, 0.000)
Ag (0.248, 0.204, 0.317)
Ag (0.266, 0.532, 0.028)
Sb (0.338, 0.650, 0.311)
S (0.097, 0.593, 0.719)
S (0.262, 0.242, 0.606)
S (0.343, 0.675, 0.514)

***

# 9
Here is crystalline MnAg2Sn3S8 at its relaxed geometry from Materials Project. Energies are from PBE-GGA.

Summary:
DFT formation energy, kJ per mole of atoms: -62
Energy above the lowest structure with this stoichiometry, meV/atom: 0.0
Total magnetic moment, μB/atom: 0.35

Lattice parameters (Å, degrees): 7.6625 7.6625 18.7009 90.00 90.00 120.00
Space group R-3m (No. 166, hexagonal axes)
Asymmetric unit:
Mn (0.0000, 0.0000, 0.0000)
Ag (0.0000, 0.0000, 0.3818)
Sn (0.0000, 0.5000, 0.5000)
S (0.0000, 0.0000, 0.2445)
S (0.0314, 0.5157, 0.7523)

***

# 10
Here is crystalline MnAg2Sn3S8 at its relaxed geometry from Materials Project. Energies are from PBE-GGA.

Summary:
DFT formation energy, kJ per mole of atoms: -36
Energy above the lowest structure with this stoichiometry, meV/atom: 275.8
Total magnetic moment, μB/atom: 0.22

Lattice parameters (Å, degrees): 7.485 7.539 7.611 76.85 76.82 60.99
Space group P-1 (No. 2)
Asymmetric unit:
Mn (0.000, 0.000, 0.000)
Ag (0.000, 0.500, 0.000)
Ag (0.500, 0.000, 0.000)
Sn (0.000, 0.000, 0.500)
Sn (0.318, 0.318, 0.432)
S (0.064, 0.596, 0.661)
S (0.184, 0.666, 0.104)
S (0.337, 0.808, 0.903)
S (0.404, 0.941, 0.340)

***

# 11
Here is crystalline AgMo12PbS16 at its relaxed geometry from Materials Project. Energies are from PBE-GGA.

Summary:
DFT formation energy, kJ per mole of atoms: -87
Total magnetic moment, μB/atom: 0.00

Lattice parameters (Å, degrees): 9.2961 9.2961 22.5991 90.00 90.00 120.00
Space group R-3 (No. 148, hexagonal axes)
Asymmetric unit:
Ag (0.0000, 0.0000, 0.0000)
Mo (0.0148, 0.8370, 0.3007)
Mo (0.0145, 0.8402, 0.8020)
Pb (0.0000, 0.0000, 0.5000)
S (0.0000, 0.0000, 0.1154)
S (0.0000, 0.0000, 0.3794)
S (0.0111, 0.6336, 0.8745)
S (0.0162, 0.6360, 0.3751)

***

# 12
Here is crystalline AgMo6S8 at its relaxed geometry from Materials Project. Energies are from PBE-GGA.

Summary:
DFT formation energy, kJ per mole of atoms: -87
Total magnetic moment, μB/atom: 0.00

Lattice parameters (Å, degrees): 9.4097 9.4097 10.9045 90.00 90.00 120.00
Space group R-3 (No. 148, hexagonal axes)
Asymmetric unit:
Ag (0.0000, 0.0000, 0.0000)
Mo (0.0153, 0.8388, 0.3921)
S (0.0000, 0.0000, 0.2238)
S (0.0193, 0.6348, 0.2515)